An optimized crystal structure of Li2TiV3O8, computed with PBE with a Hubbard U.

Results
* formation enthalpy at 0 K: -2660.8 meV per atom
* M_tot: 5.00 μB/f.u.

The structure in POSCAR format:
```
Li2TiV3O8
1.0
6.115 -2.024 0.000
6.115 2.024 0.000
-1.998 0.000 6.272
Li Ti V O
2 1 3 8
Direct
0.000 0.000 0.000 Li
0.116 0.116 0.705 Li
0.355 0.355 0.074 Ti
0.448 0.448 0.657 V
0.669 0.669 0.052 V
0.767 0.767 0.639 V
0.182 0.182 0.036 O
0.287 0.287 0.694 O
0.412 0.412 0.350 O
0.494 0.494 0.996 O
0.621 0.621 0.728 O
0.709 0.709 0.368 O
0.833 0.833 0.011 O
0.933 0.933 0.680 O
```